# 1
VASP calculation (PBE+U) on a relaxed Cr2CuO7 crystal.

a b c (Å): 11.2093 9.2136 10.1551
angles (deg): 90.00 94.24 90.00
With the nearest neighbours (Å) after each atom.
Sites, in units of the cell vectors:
Cr  0.0349  0.2085  0.0412  4 O 1.60-1.76
Cr  0.0349  0.7915  0.5412  4 O 1.60-1.76
Cr  0.3260  0.2577  0.1218  4 O 1.59-1.78
Cr  0.3260  0.7423  0.6218  4 O 1.59-1.78
Cr  0.3461  0.2921  0.7088  4 O 1.60-1.77
Cr  0.3461  0.7079  0.2088  4 O 1.60-1.77
Cr  0.6539  0.2921  0.7912  4 O 1.60-1.77
Cr  0.6539  0.7079  0.2912  4 O 1.60-1.77
Cr  0.6740  0.2577  0.3782  4 O 1.59-1.78
Cr  0.6740  0.7423  0.8782  4 O 1.59-1.78
Cr  0.9651  0.2085  0.4588  4 O 1.60-1.76
Cr  0.9651  0.7915  0.9588  4 O 1.60-1.76
Cu  0.0000  0.0616  0.7500  4 O 1.90
Cu  0.0000  0.9384  0.2500  4 O 1.90
Cu  0.3099  0.4379  0.4120  4 O 1.89-1.91
Cu  0.3099  0.5621  0.9120  4 O 1.89-1.91
Cu  0.6901  0.4379  0.0880  4 O 1.89-1.91
Cu  0.6901  0.5621  0.5880  4 O 1.89-1.91
O  0.0053  0.2110  0.6212  1 Cr 1.68
O  0.0053  0.3650  0.0985  1 Cr 1.60
O  0.0053  0.6350  0.5985  1 Cr 1.60
O  0.0053  0.7890  0.1212  1 Cr 1.68
O  0.0396  0.0810  0.3805  1 Cr 1.68
O  0.0396  0.9190  0.8805  1 Cr 1.68
O  0.1891  0.1722  0.0660  2 Cr 1.76-1.78
O  0.1891  0.8278  0.5660  2 Cr 1.76-1.78
O  0.2693  0.4238  0.7780  1 Cr 1.67
O  0.2693  0.5762  0.2780  1 Cr 1.67
O  0.3084  0.1384  0.7652  1 Cr 1.60
O  0.3084  0.8616  0.2652  1 Cr 1.60
O  0.3158  0.2907  0.5448  1 Cr 1.67
O  0.3158  0.7093  0.0448  1 Cr 1.67
O  0.3299  0.2887  0.2842  1 Cr 1.67
O  0.3299  0.7113  0.7842  1 Cr 1.67
O  0.3417  0.4114  0.0383  1 Cr 1.67
O  0.3417  0.5886  0.5383  1 Cr 1.67
O  0.4308  0.1482  0.0924  1 Cr 1.59
O  0.4308  0.8518  0.5924  1 Cr 1.59
O  0.5000  0.3262  0.7500  2 Cr 1.77
O  0.5000  0.6738  0.2500  2 Cr 1.77
O  0.5692  0.1482  0.4076  1 Cr 1.59
O  0.5692  0.8518  0.9076  1 Cr 1.59
O  0.6583  0.4114  0.4617  1 Cr 1.67
O  0.6583  0.5886  0.9617  1 Cr 1.67
O  0.6701  0.2887  0.2158  1 Cr 1.67
O  0.6701  0.7113  0.7158  1 Cr 1.67
O  0.6842  0.2907  0.9552  1 Cr 1.67
O  0.6842  0.7093  0.4552  1 Cr 1.67
O  0.6916  0.1384  0.7348  1 Cr 1.60
O  0.6916  0.8616  0.2348  1 Cr 1.60
O  0.7307  0.4238  0.7220  1 Cr 1.67
O  0.7307  0.5762  0.2220  1 Cr 1.67
O  0.8109  0.1722  0.4340  2 Cr 1.76-1.78
O  0.8109  0.8278  0.9340  2 Cr 1.76-1.78
O  0.9604  0.0810  0.1195  1 Cr 1.68
O  0.9604  0.9190  0.6195  1 Cr 1.68
O  0.9947  0.2110  0.8788  1 Cr 1.68
O  0.9947  0.3650  0.4015  1 Cr 1.60
O  0.9947  0.6350  0.9015  1 Cr 1.60
O  0.9947  0.7890  0.3788  1 Cr 1.68

Properties
ρ in g/cm3: 2.7

***

# 2
VASP calculation (PBE+U) on a relaxed Cr4Cu11O30 crystal.

a b c (Å): 5.5060 10.3483 10.5623
angles (deg): 93.44 104.31 95.73
With the nearest neighbours (Å) after each atom.
Sites, in units of the cell vectors:
Cr  0.0578  0.1980  0.0252  3 O 1.60-1.74
Cr  0.3060  0.1829  0.5581  3 O 1.61-1.67
Cr  0.6940  0.8171  0.4419  3 O 1.61-1.67
Cr  0.9422  0.8020  0.9748  3 O 1.60-1.74
Cu  0.0644  0.4941  0.6405  4 O 1.88-1.91
Cu  0.1136  0.9700  0.7471  4 O 1.79-1.91
Cu  0.2045  0.4867  0.9221  4 O 1.87-1.93
Cu  0.3705  0.5129  0.2137  4 O 1.80-1.93
Cu  0.3854  0.0303  0.2528  4 O 1.79-1.91
Cu  0.5000  0.5000  0.5000  4 O 1.81-1.90
Cu  0.6146  0.9697  0.7472  4 O 1.79-1.91
Cu  0.6295  0.4871  0.7863  4 O 1.80-1.93
Cu  0.7955  0.5133  0.0779  4 O 1.87-1.93
Cu  0.8864  0.0300  0.2529  4 O 1.79-1.91
Cu  0.9356  0.5059  0.3595  4 O 1.88-1.91
O  0.0206  0.1534  0.4669  1 Cr 1.62
O  0.0611  0.5798  0.2235  3 Cu 1.88-1.93
O  0.0974  0.3674  0.0371  1 Cr 1.74, 1 Cu 1.93
O  0.1220  0.1333  0.1842  1 Cr 1.81, 2 Cu 1.91
O  0.1454  0.9376  0.3084  2 Cu 1.79
O  0.1980  0.5689  0.5109  3 Cu 1.88-1.90
O  0.2281  0.8542  0.0507  1 Cr 1.60
O  0.2389  0.1410  0.9437  1 Cr 1.60
O  0.3209  0.4168  0.3441  2 Cu 1.80-1.81
O  0.3283  0.5654  0.7863  3 Cu 1.89-1.92
O  0.3524  0.3363  0.6268  1 Cr 1.67
O  0.3565  0.0745  0.6886  1 Cr 1.82, 2 Cu 1.88
O  0.3759  0.8815  0.8074  2 Cu 1.79
O  0.4191  0.5877  0.0675  2 Cu 1.83-1.87
O  0.4990  0.8372  0.5310  1 Cr 1.61
O  0.5010  0.1628  0.4690  1 Cr 1.61
O  0.5809  0.4123  0.9325  2 Cu 1.83-1.87
O  0.6241  0.1185  0.1926  2 Cu 1.79
O  0.6435  0.9255  0.3114  1 Cr 1.82, 2 Cu 1.88
O  0.6476  0.6637  0.3732  1 Cr 1.67
O  0.6717  0.4346  0.2137  3 Cu 1.89-1.92
O  0.6791  0.5832  0.6559  2 Cu 1.80-1.81
O  0.7611  0.8590  0.0563  1 Cr 1.60
O  0.7719  0.1458  0.9493  1 Cr 1.60
O  0.8020  0.4311  0.4891  3 Cu 1.88-1.90
O  0.8546  0.0624  0.6916  2 Cu 1.79
O  0.8780  0.8667  0.8158  1 Cr 1.81, 2 Cu 1.91
O  0.9026  0.6326  0.9629  1 Cr 1.74, 1 Cu 1.93
O  0.9389  0.4202  0.7765  3 Cu 1.88-1.93
O  0.9794  0.8466  0.5331  1 Cr 1.62

Properties
ρ in g/cm3: 4.0

***

# 3
VASP calculation (PBE+U) on a relaxed Cr4Cu3O12 crystal.

a b c (Å): 6.3109 6.3109 6.3109
angles (deg): 109.47 109.47 109.47
With the nearest neighbours (Å) after each atom.
Sites, in units of the cell vectors:
Cr  0.0000  0.0000  0.5000  6 O 1.96
Cr  0.0000  0.5000  0.0000  6 O 1.96
Cr  0.5000  0.0000  0.0000  6 O 1.96
Cr  0.5000  0.5000  0.5000  6 O 1.96
Cu  0.0000  0.5000  0.5000  4 O 1.85
Cu  0.5000  0.0000  0.5000  4 O 1.85
Cu  0.5000  0.5000  0.0000  4 O 1.85
O  0.1407  0.8239  0.3169  1 Cu 1.85, 2 Cr 1.96
O  0.1761  0.3169  0.4930  1 Cu 1.85, 2 Cr 1.96
O  0.1761  0.6831  0.8593  1 Cu 1.85, 2 Cr 1.96
O  0.3169  0.1407  0.8239  1 Cu 1.85, 2 Cr 1.96
O  0.3169  0.4930  0.1761  1 Cu 1.85, 2 Cr 1.96
O  0.4930  0.1761  0.3169  1 Cu 1.85, 2 Cr 1.96
O  0.5070  0.8239  0.6831  1 Cu 1.85, 2 Cr 1.96
O  0.6831  0.5070  0.8239  1 Cu 1.85, 2 Cr 1.96
O  0.6831  0.8593  0.1761  1 Cu 1.85, 2 Cr 1.96
O  0.8239  0.3169  0.1407  1 Cu 1.85, 2 Cr 1.96
O  0.8239  0.6831  0.5070  1 Cu 1.85, 2 Cr 1.96
O  0.8593  0.1761  0.6831  1 Cu 1.85, 2 Cr 1.96

Properties
ρ in g/cm3: 5.1

***

# 4
VASP calculation (PBE+U) on a relaxed CrCuP2O8 crystal.

a b c (Å): 4.9527 5.9273 10.1046
angles (deg): 90.00 95.55 90.00
With the nearest neighbours (Å) after each atom.
Sites, in units of the cell vectors:
Cr  0.0421  0.2500  0.2881  6 O 1.96-2.12
Cr  0.9579  0.7500  0.7119  6 O 1.96-2.12
Cu  0.3539  0.2500  0.8045  4 O 1.83-1.88
Cu  0.6461  0.7500  0.1955  4 O 1.83-1.88
P  0.1107  0.7500  0.4024  4 O 1.53-1.57
P  0.4452  0.7500  0.8930  4 O 1.51-1.59
P  0.5548  0.2500  0.1070  4 O 1.51-1.59
P  0.8893  0.2500  0.5976  4 O 1.53-1.57
O  0.1591  0.7500  0.5543  1 P 1.53
O  0.2056  0.2500  0.6311  1 P 1.57
O  0.2320  0.5370  0.3405  1 P 1.56
O  0.2320  0.9630  0.3405  1 P 1.56
O  0.2589  0.2500  0.1305  1 P 1.51
O  0.2639  0.5565  0.8207  1 P 1.59
O  0.2639  0.9435  0.8207  1 P 1.59
O  0.4040  0.7500  0.0420  1 P 1.54
O  0.5960  0.2500  0.9580  1 P 1.54
O  0.7361  0.0565  0.1793  1 P 1.59
O  0.7361  0.4435  0.1793  1 P 1.59
O  0.7411  0.7500  0.8695  1 P 1.51
O  0.7680  0.0370  0.6595  1 P 1.56
O  0.7680  0.4630  0.6595  1 P 1.56
O  0.7944  0.7500  0.3689  1 P 1.57
O  0.8409  0.2500  0.4457  1 P 1.53

Properties
ρ in g/cm3: 3.4

***

Number 1: energy of formation -1.41 eV/atom, total energy -6.33 eV/atom, M_tot 1.0 μB per formula unit. Number 2: energy of formation -0.99 eV/atom, total energy -5.51 eV/atom, M_tot 3.0 μB per formula unit. Number 3: energy of formation -1.59 eV/atom, total energy -6.54 eV/atom, M_tot 9.0 μB per formula unit. Number 4: energy of formation -2.21 eV/atom, total energy -6.93 eV/atom, M_tot 2.8 μB per formula unit.